(1)
# PmCdAu2

A relaxed structure of PmCdAu2 (PBE, the Materials Project database).

V: 22.5 A^3/atom
crystal system: cubic
VASP energy: -3.71 eV per atom

```
data_PmCdAu2
_symmetry_space_group_name_H-M 'F m -3 m'
_symmetry_Int_Tables_number 225
_symmetry_space_group_name_Hall '-F 4 2 3'
_cell_length_a 7.1125
_cell_length_b 7.1125
_cell_length_c 7.1125
_cell_angle_alpha 90.00
_cell_angle_beta 90.00
_cell_angle_gamma 90.00
loop_
_atom_site_label
_atom_site_type_symbol
_atom_site_fract_x
_atom_site_fract_y
_atom_site_fract_z
_atom_site_occupancy
Pm1 Pm 0.0000 0.0000 0.0000 1
Cd1 Cd 0.0000 0.0000 0.5000 1
Au1 Au 0.2500 0.2500 0.2500 1
```

***

(2)
# Pr2CdAu2

A relaxed structure of Pr2CdAu2 (PBE, the Materials Project database).

V: 26.5 A^3/atom
crystal system: tetragonal
VASP energy: -4.11 eV per atom

```
data_Pr2CdAu2
_symmetry_space_group_name_H-M 'P 4/m b m'
_symmetry_Int_Tables_number 127
_symmetry_space_group_name_Hall '-P 4 2ab'
_cell_length_a 8.2435
_cell_length_b 8.2435
_cell_length_c 3.8947
_cell_angle_alpha 90.00
_cell_angle_beta 90.00
_cell_angle_gamma 90.00
loop_
_atom_site_label
_atom_site_type_symbol
_atom_site_fract_x
_atom_site_fract_y
_atom_site_fract_z
_atom_site_occupancy
Pr1 Pr 0.1760 0.3240 0.0000 1
Cd1 Cd 0.0000 0.0000 0.5000 1
Au1 Au 0.1248 0.6248 0.5000 1
```

***

(3)
# PrCdAu2

A relaxed structure of PrCdAu2 (PBE, the Materials Project database).

V: 23.1 A^3/atom
crystal system: cubic
VASP energy: -3.70 eV per atom

```
data_PrCdAu2
_symmetry_space_group_name_H-M 'F m -3 m'
_symmetry_Int_Tables_number 225
_symmetry_space_group_name_Hall '-F 4 2 3'
_cell_length_a 7.1807
_cell_length_b 7.1807
_cell_length_c 7.1807
_cell_angle_alpha 90.00
_cell_angle_beta 90.00
_cell_angle_gamma 90.00
loop_
_atom_site_label
_atom_site_type_symbol
_atom_site_fract_x
_atom_site_fract_y
_atom_site_fract_z
_atom_site_occupancy
Pr1 Pr 0.0000 0.0000 0.0000 1
Cd1 Cd 0.0000 0.0000 0.5000 1
Au1 Au 0.2500 0.2500 0.2500 1
```

***

(4)
# Cd2RhAu

A relaxed structure of Cd2RhAu (PBE, the Materials Project database).

V: 18.1 A^3/atom
crystal system: cubic
VASP energy: -3.24 eV per atom

```
data_Cd2RhAu
_symmetry_space_group_name_H-M 'F m -3 m'
_symmetry_Int_Tables_number 225
_symmetry_space_group_name_Hall '-F 4 2 3'
_cell_length_a 6.6184
_cell_length_b 6.6184
_cell_length_c 6.6184
_cell_angle_alpha 90.00
_cell_angle_beta 90.00
_cell_angle_gamma 90.00
loop_
_atom_site_label
_atom_site_type_symbol
_atom_site_fract_x
_atom_site_fract_y
_atom_site_fract_z
_atom_site_occupancy
Cd1 Cd 0.2500 0.2500 0.2500 1
Rh1 Rh 0.0000 0.0000 0.0000 1
Au1 Au 0.0000 0.0000 0.5000 1
```